No. 1
This record from the Materials Project database describes an optimized crystal structure of CaSnAsO5. The functional is PBE-GGA.

Unit cell a=7.9563 b=6.2234 c=9.5101 alpha=90.00 beta=96.80 gamma=90.00
Last column: nearest neighbours and their distance in Å.
Fractional coordinates of all 32 atoms:
Ca 0.0614 0.0000 0.3592  5 O 2.33-2.54
Ca 0.4014 0.4809 0.8230  5 O 2.38-2.62
Ca 0.5986 0.9809 0.1770  5 O 2.38-2.62
Ca 0.9386 0.5000 0.6408  5 O 2.33-2.54
Sn 0.0106 0.7126 0.0096  5 O 2.01-2.18
Sn 0.4926 0.7567 0.5032  5 O 2.03-2.17
Sn 0.5074 0.2567 0.4968  5 O 2.03-2.17
Sn 0.9894 0.2126 0.9904  5 O 2.01-2.18
As 0.1696 0.9448 0.7127  3 O 1.76-1.90
As 0.3883 0.5153 0.1708  4 O 1.71-1.76
As 0.6117 0.0153 0.8292  4 O 1.71-1.76
As 0.8304 0.4448 0.2873  3 O 1.76-1.90
O 0.0121 0.8623 0.5785  1 As 1.76
O 0.0732 0.1929 0.7866  1 As 1.90
O 0.1334 0.7031 0.8261  1 As 1.89, 1 Sn 2.10
O 0.1385 0.9770 0.0799  2 Sn 2.01
O 0.1926 0.4575 0.0709  1 As 1.76
O 0.3315 0.0207 0.4977  2 Sn 2.03-2.08
O 0.3587 0.4935 0.5696  2 Sn 2.06-2.09
O 0.3710 0.7221 0.2878  1 As 1.72
O 0.4475 0.2783 0.2562  1 As 1.72
O 0.4883 0.1174 0.9493  1 As 1.71
O 0.5117 0.6174 0.0507  1 As 1.71
O 0.5525 0.7783 0.7438  1 As 1.72
O 0.6290 0.2221 0.7122  1 As 1.72
O 0.6413 0.9935 0.4304  2 Sn 2.06-2.09
O 0.6685 0.5207 0.5023  2 Sn 2.03-2.08
O 0.8074 0.9575 0.9291  1 As 1.76
O 0.8615 0.4770 0.9201  2 Sn 2.01
O 0.8666 0.2031 0.1739  1 As 1.89, 1 Sn 2.10
O 0.9268 0.6929 0.2134  1 As 1.90
O 0.9879 0.3623 0.4215  1 As 1.76

Energy of formation from the pure elements (eV/atom): -2.2551


No. 2
This record from the Materials Project database describes an optimized crystal structure of Ca3Ti3As4O16. The functional is PBE-GGA.

Unit cell a=8.9780 b=5.1446 c=17.5371 alpha=90.00 beta=110.04 gamma=90.00
Last column: nearest neighbours and their distance in Å.
Fractional coordinates of all 52 atoms:
Ca 0.0000 0.0000 0.0000  6 O 2.31-2.50
Ca 0.0000 0.5000 0.5000  6 O 2.31-2.50
Ca 0.3305 0.0623 0.2770  5 O 2.29-2.47
Ca 0.3305 0.4377 0.7770  5 O 2.29-2.47
Ca 0.6695 0.5623 0.2230  5 O 2.29-2.47
Ca 0.6695 0.9377 0.7230  5 O 2.29-2.47
Ti 0.2210 0.5610 0.3800  1 O 1.73
Ti 0.2210 0.9390 0.8800  1 O 1.73
Ti 0.5000 0.0000 0.5000  4 O 2.08-2.14
Ti 0.5000 0.5000 0.0000  4 O 2.08-2.14
Ti 0.7790 0.0610 0.1200  1 O 1.73
Ti 0.7790 0.4390 0.6200  1 O 1.73
As 0.0462 0.5108 0.1616  4 O 1.70-1.75
As 0.0462 0.9892 0.6616  4 O 1.70-1.75
As 0.4313 0.5035 0.6031  2 O 1.74-1.89
As 0.4313 0.9965 0.1031  2 O 1.74-1.89
As 0.5687 0.0035 0.8969  2 O 1.74-1.89
As 0.5687 0.4965 0.3969  2 O 1.74-1.89
As 0.9538 0.0108 0.3384  4 O 1.70-1.75
As 0.9538 0.4892 0.8384  4 O 1.70-1.75
O 0.0073 0.1673 0.8673  1 As 1.75
O 0.0073 0.3327 0.3673  1 As 1.75
O 0.1107 0.1463 0.5936  1 As 1.70
O 0.1107 0.3537 0.0936  1 As 1.70
O 0.1208 0.6167 0.8228  1 As 1.74
O 0.1208 0.8833 0.3228  1 As 1.74
O 0.1920 0.0360 0.7556  1 As 1.74
O 0.1920 0.4640 0.2556  1 As 1.74
O 0.2159 0.6663 0.4728  1 Ti 1.73
O 0.2159 0.8337 0.9728  1 Ti 1.73
O 0.4002 0.2085 0.9153  1 As 1.96, 2 Ti 2.05-2.08
O 0.4002 0.2915 0.4153  1 As 1.96, 2 Ti 2.05-2.08
O 0.4276 0.7238 0.8903  1 As 1.89, 1 Ti 2.11
O 0.4276 0.7762 0.3903  1 As 1.89, 1 Ti 2.11
O 0.4664 0.6179 0.7011  1 As 1.74
O 0.4664 0.8821 0.2011  1 As 1.74
O 0.5336 0.1179 0.7989  1 As 1.74
O 0.5336 0.3821 0.2989  1 As 1.74
O 0.5724 0.2238 0.6097  1 As 1.89, 1 Ti 2.11
O 0.5724 0.2762 0.1097  1 As 1.89, 1 Ti 2.11
O 0.5998 0.7085 0.5847  1 As 1.96, 2 Ti 2.05-2.08
O 0.5998 0.7915 0.0847  1 As 1.96, 2 Ti 2.05-2.08
O 0.7841 0.1663 0.0272  1 Ti 1.73
O 0.7841 0.3337 0.5272  1 Ti 1.73
O 0.8080 0.5360 0.7444  1 As 1.74
O 0.8080 0.9640 0.2444  1 As 1.74
O 0.8792 0.1167 0.6772  1 As 1.74
O 0.8792 0.3833 0.1772  1 As 1.74
O 0.8893 0.6463 0.9064  1 As 1.70
O 0.8893 0.8537 0.4064  1 As 1.70
O 0.9927 0.6673 0.6327  1 As 1.75
O 0.9927 0.8327 0.1327  1 As 1.75

Energy of formation from the pure elements (eV/atom): -2.5346


No. 3
This record from the Materials Project database describes an optimized crystal structure of CaAs2Pd2. The functional is PBE-GGA.

Unit cell a=4.3585 b=4.3585 c=10.2764 alpha=90.00 beta=90.00 gamma=90.00
Last column: nearest neighbours and their distance in Å.
Fractional coordinates of all 10 atoms:
Ca 0.0000 0.0000 0.0000  8 As 3.32, 8 Pd 3.37
Ca 0.5000 0.5000 0.5000  8 As 3.32, 8 Pd 3.37
As 0.0000 0.0000 0.3790  1 As 2.49, 4 Pd 2.55
As 0.0000 0.0000 0.6210  1 As 2.49, 4 Pd 2.55
As 0.5000 0.5000 0.1210  1 As 2.49, 4 Pd 2.55
As 0.5000 0.5000 0.8790  1 As 2.49, 4 Pd 2.55
Pd 0.0000 0.5000 0.2500  4 As 2.55
Pd 0.0000 0.5000 0.7500  4 As 2.55
Pd 0.5000 0.0000 0.2500  4 As 2.55
Pd 0.5000 0.0000 0.7500  4 As 2.55

Energy of formation from the pure elements (eV/atom): -0.7414


No. 4
This record from the Materials Project database describes an optimized crystal structure of CaAs4Rh6. The functional is PBE-GGA.

Unit cell a=7.2973 b=7.2973 c=3.8159 alpha=90.00 beta=90.00 gamma=120.00
Last column: nearest neighbours and their distance in Å.
Fractional coordinates of all 11 atoms:
Ca 0.0000 0.0000 0.0000  6 As 3.06, 6 Rh 3.16
As 0.1889 0.3777 0.5000  6 Rh 2.46-2.59
As 0.1889 0.8111 0.5000  6 Rh 2.46-2.59
As 0.6223 0.8111 0.5000  6 Rh 2.46-2.59
As 0.6667 0.3333 0.0000  9 Rh 2.55
Rh 0.0696 0.5348 0.0000  5 As 2.55-2.59
Rh 0.3993 0.1997 0.5000  4 As 2.46-2.55
Rh 0.4652 0.5348 0.0000  5 As 2.55-2.59
Rh 0.4652 0.9304 0.0000  5 As 2.55-2.59
Rh 0.8003 0.1997 0.5000  4 As 2.46-2.55
Rh 0.8003 0.6007 0.5000  4 As 2.46-2.55

Energy of formation from the pure elements (eV/atom): -0.6508


No. 5
This record from the Materials Project database describes an optimized crystal structure of Ca3SbAs. The functional is PBE-GGA.

Unit cell a=5.7500 b=5.7500 c=5.7500 alpha=90.00 beta=90.00 gamma=90.00
Last column: nearest neighbours and their distance in Å.
Fractional coordinates of all 5 atoms:
Ca 0.0000 0.0000 0.5000  2 Sb 2.88
Ca 0.0000 0.5000 0.0000  2 Sb 2.88
Ca 0.5000 0.0000 0.0000  2 Sb 2.88
Sb 0.0000 0.0000 0.0000  6 Ca 2.88
As 0.5000 0.5000 0.5000  12 Ca 4.07

Energy of formation from the pure elements (eV/atom): -0.4311


No. 6
This record from the Materials Project database describes an optimized crystal structure of Ca3SbAs. The functional is PBE-GGA.

Unit cell a=5.4900 b=5.4900 c=5.4900 alpha=90.00 beta=90.00 gamma=90.00
Last column: nearest neighbours and their distance in Å.
Fractional coordinates of all 5 atoms:
Ca 0.0000 0.0000 0.5000  2 As 2.75
Ca 0.0000 0.5000 0.0000  2 As 2.75
Ca 0.5000 0.0000 0.0000  2 As 2.75
Sb 0.5000 0.5000 0.5000  12 Ca 3.88
As 0.0000 0.0000 0.0000  6 Ca 2.74-2.75

Energy of formation from the pure elements (eV/atom): -0.9109


No. 7
This record from the Materials Project database describes an optimized crystal structure of Ca11Si9As16. The functional is PBE-GGA.

Unit cell a=7.1578 b=7.2746 c=17.7346 alpha=90.01 beta=90.04 gamma=111.63
Last column: nearest neighbours and their distance in Å.
Fractional coordinates of all 36 atoms:
Ca 0.0000 0.0000 0.0000  6 As 2.97-3.16
Ca 0.0013 0.9621 0.2571  6 As 2.96-3.11
Ca 0.4740 0.5268 0.7562  6 As 2.96-3.13
Ca 0.4779 0.4901 0.5025  6 As 2.98-3.12
Ca 0.4858 0.4835 0.0012  6 As 2.97-3.10
Ca 0.4901 0.0068 0.8793  6 As 2.96-3.16
Ca 0.4995 0.0001 0.3831  6 As 2.97-3.17
Ca 0.5016 0.9617 0.1253  6 As 2.94-3.12
Ca 0.9759 0.4898 0.8809  6 As 2.99-3.17
Ca 0.9859 0.4833 0.3812  6 As 2.98-3.09
Ca 0.9900 0.0054 0.5039  6 As 2.98-3.06
Si 0.0177 0.9562 0.8106  1 Si 2.34, 3 As 2.36-2.43
Si 0.0667 0.4277 0.1817  1 Si 2.34, 3 As 2.39-2.41
Si 0.4083 0.0655 0.6822  1 Si 2.34, 3 As 2.39-2.44
Si 0.4579 0.5314 0.3118  1 Si 2.34, 3 As 2.35-2.42
Si 0.5215 0.9580 0.5731  1 Si 2.34, 3 As 2.39-2.47
Si 0.5670 0.4275 0.2008  1 Si 2.34, 3 As 2.39-2.41
Si 0.9104 0.0626 0.7001  1 Si 2.34, 3 As 2.39-2.40
Si 0.9578 0.5321 0.0709  1 Si 2.34, 3 As 2.35-2.42
Si 0.9719 0.5354 0.6190  4 As 2.70-2.98
As 0.1998 0.7760 0.7483  2 Si 2.39-2.43
As 0.2154 0.2589 0.6367  2 Si 2.40-2.44
As 0.2276 0.7415 0.5101  1 Si 2.39
As 0.2321 0.2447 0.8730  1 Si 2.37
As 0.2383 0.7383 0.0028  1 Si 2.35
As 0.2446 0.2431 0.3739  1 Si 2.36
As 0.2576 0.2376 0.1379  2 Si 2.40-2.41
As 0.2660 0.7079 0.2547  2 Si 2.39-2.42
As 0.7166 0.7744 0.6291  2 Si 2.40-2.47
As 0.7244 0.2587 0.7406  2 Si 2.39-2.41
As 0.7364 0.7394 0.3805  1 Si 2.35
As 0.7371 0.7517 0.8798  1 Si 2.36
As 0.7415 0.2548 0.5138  1 Si 2.40
As 0.7437 0.2437 0.0095  1 Si 2.36
As 0.7572 0.2372 0.2450  2 Si 2.40-2.41
As 0.7660 0.7079 0.1286  2 Si 2.39-2.42

Energy of formation from the pure elements (eV/atom): -0.7132


No. 8
This record from the Materials Project database describes an optimized crystal structure of Ca21Zn4As18. The functional is PBE-GGA.

Unit cell a=11.3707 b=11.3707 c=16.2750 alpha=91.61 beta=91.61 gamma=87.23
Last column: nearest neighbours and their distance in Å.
Fractional coordinates of all 86 atoms:
Ca 0.0030 0.6809 0.0634  6 As 2.97-3.19
Ca 0.0081 0.7548 0.4442  4 As 2.91-3.21
Ca 0.0717 0.8204 0.8816  6 As 2.91-3.18
Ca 0.0748 0.4326 0.7435  4 As 2.87-3.11, 1 Zn 3.15
Ca 0.0960 0.7640 0.6577  5 As 2.91-3.21
Ca 0.0972 0.0972 0.7568  3 As 2.87-3.16
Ca 0.1796 0.9283 0.1184  6 As 2.91-3.18
Ca 0.2347 0.4978 0.5593  5 As 3.03-3.36
Ca 0.2360 0.9040 0.3423  5 As 2.91-3.21
Ca 0.2375 0.2375 0.4064  6 As 3.05-3.40, 2 Zn 3.14
Ca 0.2452 0.9919 0.5558  4 As 2.91-3.21
Ca 0.2495 0.2495 0.0809  7 As 3.08-3.43, 2 Zn 3.29
Ca 0.2520 0.5782 0.3554  6 As 2.97-3.26, 1 Zn 3.10
Ca 0.2644 0.5724 0.1497  6 As 2.90-3.17
Ca 0.2700 0.5102 0.9230  5 As 2.92-3.17
Ca 0.3191 0.9970 0.9366  6 As 2.97-3.19
Ca 0.4218 0.7480 0.6446  6 As 2.97-3.26, 1 Zn 3.10
Ca 0.4276 0.7356 0.8503  6 As 2.90-3.17
Ca 0.4326 0.0748 0.7435  4 As 2.87-3.11, 1 Zn 3.15
Ca 0.4898 0.7300 0.0770  5 As 2.92-3.17
Ca 0.4978 0.2347 0.5593  5 As 3.03-3.36
Ca 0.5022 0.7653 0.4407  5 As 3.03-3.36
Ca 0.5102 0.2700 0.9230  5 As 2.92-3.17
Ca 0.5674 0.9252 0.2565  4 As 2.87-3.11, 1 Zn 3.15
Ca 0.5724 0.2644 0.1497  6 As 2.90-3.17
Ca 0.5782 0.2520 0.3554  6 As 2.97-3.26, 1 Zn 3.10
Ca 0.6809 0.0030 0.0634  6 As 2.97-3.19
Ca 0.7300 0.4898 0.0770  5 As 2.92-3.17
Ca 0.7356 0.4276 0.8503  6 As 2.90-3.17
Ca 0.7480 0.4218 0.6446  6 As 2.97-3.26, 1 Zn 3.10
Ca 0.7505 0.7505 0.9191  7 As 3.08-3.43, 2 Zn 3.29
Ca 0.7548 0.0081 0.4442  4 As 2.91-3.21
Ca 0.7625 0.7625 0.5936  6 As 3.05-3.40, 2 Zn 3.14
Ca 0.7640 0.0960 0.6577  5 As 2.91-3.21
Ca 0.7653 0.5022 0.4407  5 As 3.03-3.36
Ca 0.8204 0.0717 0.8816  6 As 2.91-3.18
Ca 0.9028 0.9028 0.2432  3 As 2.87-3.16
Ca 0.9040 0.2360 0.3423  5 As 2.91-3.21
Ca 0.9252 0.5674 0.2565  4 As 2.87-3.11, 1 Zn 3.15
Ca 0.9283 0.1796 0.1184  6 As 2.91-3.18
Ca 0.9919 0.2452 0.5558  4 As 2.91-3.21
Ca 0.9970 0.3191 0.9366  6 As 2.97-3.19
Zn 0.1205 0.3505 0.2485  4 As 2.56-2.71
Zn 0.3410 0.3410 0.7441  4 As 2.61, 1 Zn 2.71
Zn 0.3505 0.1205 0.2485  4 As 2.56-2.71
Zn 0.4994 0.4994 0.7051  4 As 2.54-2.62, 1 Zn 2.71
Zn 0.5006 0.5006 0.2949  4 As 2.54-2.62, 1 Zn 2.71
Zn 0.6495 0.8795 0.7515  4 As 2.56-2.71
Zn 0.6590 0.6590 0.2559  4 As 2.61, 1 Zn 2.71
Zn 0.8795 0.6495 0.7515  4 As 2.56-2.71
As 0.0337 0.0337 0.4301  1 As 2.57
As 0.0396 0.4262 0.1105  1 Zn 2.56
As 0.0484 0.4360 0.3965  1 Zn 2.71, 2 Ca 2.97-2.99
As 0.0694 0.0694 0.9678  1 As 2.55
As 0.1015 0.7380 0.2432  7 Ca 2.87-3.18
As 0.1208 0.1208 0.2416  2 Zn 2.61
As 0.2408 0.2408 0.6156  1 Zn 2.61
As 0.2540 0.2540 0.8748  1 Zn 2.61
As 0.2544 0.7456 0.0000  8 Ca 2.91-3.19
As 0.2540 0.7460 0.5000  8 Ca 2.91-3.17
As 0.2620 0.8985 0.7568  7 Ca 2.87-3.18
As 0.2894 0.5667 0.7395  2 Zn 2.54-2.61
As 0.3499 0.3499 0.2480  3 Zn 2.57-2.61
As 0.4262 0.0396 0.1105  1 Zn 2.56
As 0.4333 0.7106 0.2605  2 Zn 2.54-2.61
As 0.4360 0.0484 0.3965  1 Zn 2.71, 2 Ca 2.97-2.99
As 0.4457 0.4457 0.4439  1 As 2.51, 1 Zn 2.62
As 0.4551 0.4551 0.0602  1 As 2.50
As 0.5449 0.5449 0.9398  1 As 2.50
As 0.5543 0.5543 0.5561  1 As 2.51, 1 Zn 2.62
As 0.5640 0.9516 0.6035  1 Zn 2.71, 2 Ca 2.97-2.99
As 0.5667 0.2894 0.7395  2 Zn 2.54-2.61
As 0.5738 0.9604 0.8895  1 Zn 2.56
As 0.6501 0.6501 0.7520  3 Zn 2.57-2.61
As 0.7106 0.4333 0.2605  2 Zn 2.54-2.61
As 0.7380 0.1015 0.2432  7 Ca 2.87-3.18
As 0.7456 0.2544 0.0000  8 Ca 2.91-3.19
As 0.7460 0.2540 0.5000  8 Ca 2.91-3.17
As 0.7460 0.7460 0.1252  1 Zn 2.61
As 0.7592 0.7592 0.3844  1 Zn 2.61
As 0.8792 0.8792 0.7584  2 Zn 2.61
As 0.8985 0.2620 0.7568  7 Ca 2.87-3.18
As 0.9306 0.9306 0.0322  1 As 2.55
As 0.9516 0.5640 0.6035  1 Zn 2.71, 2 Ca 2.97-2.99
As 0.9604 0.5738 0.8895  1 Zn 2.56
As 0.9663 0.9663 0.5699  1 As 2.57

Energy of formation from the pure elements (eV/atom): -1.0844


Look up the energy of formation from the pure elements of the seventh one. -0.7132 eV/atom